(1)
Crystalline YCuGe at its relaxed geometry. Source: Materials Project, functional GGA-PBE.

Its magnetic moment is 0.00 μB per formula unit. Its formation energy is -0.3700 eV/atom.

The space group is P-3m1 (No. 164) and the conventional cell measures 4.3149, 4.3149 and 7.4612 Å, with angles of 90.00, 90.00 and 120.00 degrees. The distinct sites, in fractional coordinates, are Y at (0.0000, 0.0000, 0.2380), Cu at (0.3333, 0.6667, 0.0054) and Ge at (0.3333, 0.6667, 0.4729).

---

(2)
Crystalline ReN2 at its relaxed geometry. Source: Materials Project, functional GGA-PBE.

Its formation energy is -0.0564 eV/atom.

The space group is C2/m (No. 12) and the conventional cell measures 6.842, 2.833 and 5.782 Å, with angles of 90.00, 96.03 and 90.00 degrees. The distinct sites, in fractional coordinates, are Re at (0.175, 0.000, 0.231), N at (0.097, 0.500, 0.471) and N at (0.128, 0.000, 0.865).

---

(3)
Crystalline RbNaMg6O7 at its relaxed geometry. Source: Materials Project, functional GGA-PBE.

Its magnetic moment is 0.00 μB per formula unit. Its formation energy is -2.2246 eV/atom.

The space group is P4mm (No. 99) and the conventional cell measures 4.676, 4.676 and 8.168 Å, with angles of 90.00, 90.00 and 90.00 degrees. The distinct sites, in fractional coordinates, are Rb at (0.000, 0.000, 0.000), Na at (0.000, 0.000, 0.566), Mg at (0.000, 0.500, 0.320), Mg at (0.000, 0.500, 0.824), Mg at (0.500, 0.500, 0.083), Mg at (0.500, 0.500, 0.574), O at (0.000, 0.000, 0.310), O at (0.000, 0.500, 0.068), O at (0.000, 0.500, 0.590), O at (0.500, 0.500, 0.328) and O at (0.500, 0.500, 0.829).

---

(4)
Crystalline UGaCu at its relaxed geometry. Source: Materials Project, functional GGA-PBE.

Its magnetic moment is 2.72 μB per formula unit. Its formation energy is -0.1135 eV/atom.

The space group is P6_3mc (No. 186) and the conventional cell measures 4.6418, 4.6418 and 5.6732 Å, with angles of 90.00, 90.00 and 120.00 degrees. The distinct sites, in fractional coordinates, are U at (0.0000, 0.0000, 0.0000), Ga at (0.3333, 0.6667, 0.2553) and Cu at (0.3333, 0.6667, 0.7406).